Entry 1:
DFT (PBE+U) results for a geometry-optimized Na2MgMn2O8 structure.

Properties
Its space-group type is Amm2 (38). As for the excess energy over the best structure of this formula in the dataset: 0.00 eV/f.u.

a = 5.585 Å, b = 5.581 Å, c = 6.454 Å
α = 90.00°, β = 90.00°, γ = 66.75°
Atoms (fractional coordinates):
Na1 0.999 0.000 0.995
Na2 0.999 0.000 0.505
Mg1 0.649 0.651 0.250
Mn1 0.640 0.640 0.750
Mn2 0.357 0.358 0.250
O1 0.270 0.693 0.250
O2 0.322 0.763 0.750
O3 0.742 0.743 0.530
O4 0.263 0.263 0.041
O5 0.263 0.263 0.459
O6 0.742 0.743 0.970
O7 0.692 0.271 0.250
O8 0.763 0.322 0.750

Entry 2:
DFT (PBE+U) results for a geometry-optimized Na8MgMn2O8 structure.

Properties
Its space-group type is P1 (1). As for the excess energy over the best structure of this formula in the dataset: 0.06 eV/f.u.

a = 9.412 Å, b = 5.479 Å, c = 6.076 Å
α = 69.77°, β = 110.58°, γ = 98.08°
Atoms (fractional coordinates):
Na1 0.177 0.023 0.600
Na2 0.156 0.530 0.069
Na3 0.331 0.526 0.689
Na4 0.324 0.039 0.175
Na5 0.526 0.037 0.729
Na6 0.700 0.684 0.023
Na7 0.765 0.040 0.386
Na8 0.978 0.557 0.498
Mg1 0.771 0.465 0.736
Mn1 0.500 0.549 0.338
Mn2 0.989 0.000 0.968
O1 0.125 0.237 0.825
O2 0.118 0.832 0.290
O3 0.407 0.747 0.999
O4 0.347 0.309 0.417
O5 0.574 0.642 0.639
O6 0.711 0.441 0.396
O7 0.924 0.750 0.767
O8 0.798 0.107 0.986

Entry 3:
DFT (PBE+U) results for a geometry-optimized NaMg6MnO8 structure.

Properties
Its space-group type is P4/mmm (123). As for the excess energy over the best structure of this formula in the dataset: 0.00 eV/f.u.

a = 8.501 Å, b = 4.332 Å, c = 4.332 Å
α = 90.00°, β = 90.00°, γ = 90.00°
Atoms (fractional coordinates):
Na1 0.500 0.000 0.000
Mg1 0.000 0.500 0.500
Mg2 0.500 0.500 0.500
Mg3 0.259 0.000 0.500
Mg4 0.741 0.000 0.500
Mg5 0.259 0.500 0.000
Mg6 0.741 0.500 0.000
Mn1 0.000 0.000 0.000
O1 0.226 0.000 0.000
O2 0.774 0.000 0.000
O3 0.246 0.500 0.500
O4 0.754 0.500 0.500
O5 0.000 0.000 0.500
O6 0.500 0.000 0.500
O7 0.000 0.500 0.000
O8 0.500 0.500 0.000

Entry 4:
DFT (PBE+U) results for a geometry-optimized Na2MgMn2O8 structure.

Properties
Its space-group type is P1 (1). As for the excess energy over the best structure of this formula in the dataset: 0.34 eV/f.u.

a = 5.762 Å, b = 5.409 Å, c = 7.117 Å
α = 91.64°, β = 94.02°, γ = 68.94°
Atoms (fractional coordinates):
Na1 0.121 0.910 0.002
Na2 0.963 0.025 0.494
Mg1 0.565 0.163 0.957
Mn1 0.655 0.644 0.735
Mn2 0.334 0.370 0.274
O1 0.229 0.694 0.286
O2 0.349 0.799 0.738
O3 0.758 0.696 0.540
O4 0.231 0.278 0.060
O5 0.275 0.220 0.446
O6 0.774 0.791 0.911
O7 0.645 0.244 0.231
O8 0.727 0.316 0.780

Entry 5:
DFT (PBE+U) results for a geometry-optimized NaMgMn4O8 structure.

Properties
Its space-group type is Cm (8). As for the excess energy over the best structure of this formula in the dataset: 0.21 eV/f.u.

a = 6.209 Å, b = 6.209 Å, c = 6.343 Å
α = 86.48°, β = 119.07°, γ = 124.50°
Atoms (fractional coordinates):
Na1 0.507 0.995 0.502
Mg1 0.230 0.325 0.555
Mn1 0.000 0.995 0.995
Mn2 0.987 0.503 0.988
Mn3 0.484 0.000 0.988
Mn4 0.526 0.528 0.054
O1 0.029 0.785 0.814
O2 0.063 0.257 0.793
O3 0.533 0.250 0.782
O4 0.536 0.731 0.793
O5 0.437 0.751 0.188
O6 0.449 0.241 0.211
O7 0.957 0.220 0.176
O8 0.971 0.762 0.211

Entry 6:
DFT (PBE+U) results for a geometry-optimized Na2MgMn4O8 structure.

Properties
Its space-group type is P1 (1). As for the excess energy over the best structure of this formula in the dataset: 1.49 eV/f.u.

a = 3.245 Å, b = 5.681 Å, c = 10.249 Å
α = 90.00°, β = 89.85°, γ = 68.37°
Atoms (fractional coordinates):
Na1 0.167 0.329 0.250
Na2 0.880 0.690 0.747
Mg1 0.853 0.851 0.250
Mn1 0.591 0.206 0.916
Mn2 0.416 0.757 0.468
Mn3 0.592 0.208 0.584
Mn4 0.421 0.755 0.030
O1 0.200 0.969 0.617
O2 0.200 0.967 0.883
O3 0.647 0.026 0.411
O4 0.645 0.024 0.089
O5 0.478 0.652 0.253
O6 0.557 0.363 0.750
O7 0.123 0.522 0.508
O8 0.125 0.520 0.995

Entry 7:
DFT (PBE+U) results for a geometry-optimized NaMgMn4O8 structure.

Properties
Its space-group type is C2/m (12). As for the excess energy over the best structure of this formula in the dataset: 0.00 eV/f.u.

a = 6.131 Å, b = 6.131 Å, c = 6.192 Å
α = 88.51°, β = 119.99°, γ = 121.41°
Atoms (fractional coordinates):
Na1 0.500 0.000 0.500
Mg1 0.000 0.500 0.500
Mn1 0.000 0.000 0.000
Mn2 0.000 0.500 0.000
Mn3 0.500 0.000 0.000
Mn4 0.500 0.500 0.000
O1 0.043 0.746 0.789
O2 0.040 0.301 0.795
O3 0.548 0.250 0.797
O4 0.495 0.756 0.795
O5 0.452 0.750 0.203
O6 0.505 0.244 0.205
O7 0.957 0.254 0.211
O8 0.960 0.699 0.205

Entry 8:
DFT (PBE+U) results for a geometry-optimized Na8MgMn2O8 structure.

Properties
Its space-group type is P1 (1). As for the excess energy over the best structure of this formula in the dataset: 0.00 eV/f.u.

a = 9.050 Å, b = 5.838 Å, c = 5.829 Å
α = 73.27°, β = 117.76°, γ = 101.66°
Atoms (fractional coordinates):
Na1 0.051 0.035 0.556
Na2 0.100 0.500 0.115
Na3 0.319 0.463 0.717
Na4 0.380 0.073 0.135
Na5 0.680 0.105 0.698
Na6 0.714 0.540 0.931
Na7 0.703 0.994 0.286
Na8 0.931 0.526 0.548
Mg1 0.362 0.916 0.610
Mn1 0.492 0.545 0.321
Mn2 0.016 0.998 0.039
O1 0.123 0.250 0.863
O2 0.130 0.781 0.393
O3 0.442 0.787 0.995
O4 0.405 0.266 0.518
O5 0.505 0.770 0.520
O6 0.636 0.371 0.286
O7 0.917 0.792 0.793
O8 0.891 0.179 0.110

Entry 9:
DFT (PBE+U) results for a geometry-optimized Na2MgMn2O8 structure.

Properties
Its space-group type is Amm2 (38). As for the excess energy over the best structure of this formula in the dataset: 0.13 eV/f.u.

a = 5.736 Å, b = 5.736 Å, c = 7.560 Å
α = 90.00°, β = 90.00°, γ = 57.53°
Atoms (fractional coordinates):
Na1 0.089 0.089 0.007
Na2 0.089 0.089 0.493
Mg1 0.827 0.827 0.750
Mn1 0.559 0.559 0.750
Mn2 0.411 0.411 0.250
O1 0.263 0.745 0.250
O2 0.207 0.739 0.750
O3 0.673 0.673 0.580
O4 0.319 0.319 0.075
O5 0.319 0.319 0.425
O6 0.673 0.673 0.920
O7 0.745 0.263 0.250
O8 0.739 0.207 0.750

Entry 10:
DFT (PBE+U) results for a geometry-optimized Na2MgMn2O4 structure.

Properties
Its space-group type is Amm2 (38). As for the excess energy over the best structure of this formula in the dataset: 2.19 eV/f.u.

a = 2.943 Å, b = 5.574 Å, c = 11.690 Å
α = 90.00°, β = 90.00°, γ = 105.30°
Atoms (fractional coordinates):
Na1 0.696 0.391 0.250
Na2 0.100 0.199 0.750
Mg1 0.967 0.934 0.250
Mn1 0.047 0.095 0.494
Mn2 0.047 0.095 0.006
O1 0.517 0.033 0.367
O2 0.576 0.151 0.599
O3 0.576 0.151 0.901
O4 0.517 0.033 0.133

Entry 11:
DFT (PBE+U) results for a geometry-optimized Na2MgMn4O8 structure.

Properties
Its space-group type is P1 (1). As for the excess energy over the best structure of this formula in the dataset: 0.00 eV/f.u.

a = 2.935 Å, b = 6.067 Å, c = 10.146 Å
α = 84.21°, β = 90.21°, γ = 92.78°
Atoms (fractional coordinates):
Na1 0.759 0.644 0.970
Na2 0.755 0.783 0.371
Mg1 0.235 0.958 0.657
Mn1 0.242 0.048 0.124
Mn2 0.754 0.207 0.861
Mn3 0.756 0.282 0.396
Mn4 0.252 0.481 0.627
O1 0.720 0.840 0.149
O2 0.267 0.428 0.821
O3 0.242 0.093 0.355
O4 0.701 0.734 0.620
O5 0.761 0.254 0.066
O6 0.239 0.990 0.858
O7 0.799 0.217 0.620
O8 0.268 0.488 0.428

Entry 12:
DFT (PBE+U) results for a geometry-optimized NaMgMn2O4 structure.

Properties
Its space-group type is P-1 (2).

a = 3.152 Å, b = 5.418 Å, c = 5.307 Å
α = 107.30°, β = 92.43°, γ = 91.87°
Atoms (fractional coordinates):
Na1 0.500 0.000 0.500
Mg1 0.000 0.500 0.500
Mn1 0.000 0.000 0.000
Mn2 0.500 0.500 0.000
O1 0.501 0.722 0.759
O2 0.044 0.279 0.769
O3 0.956 0.721 0.231
O4 0.499 0.278 0.241

How do the records compare in total magnetic moment? In the order shown, they have 0.15, 0.42, 0.25, 0.15, 1.07, 1.07, 1.07, 0.42, 0.15, 1.00, 1.07, 1.12 μB per atom.
How do the records compare in total DFT energy (no corrections)? In the order shown, they have -5.761, -4.996, -6.004, -5.734, -6.849, -6.534, -6.864, -4.999, -5.750, -5.673, -6.634, -6.601 eV/atom.